# 1
Density functional theory data (meta-GGA r2SCAN) for an optimized crystal structure of USnRu.

The structure belongs to space group P-62m (No. 189); the cell edges are 7.3179, 7.3179 and 4.0535 Å and the angles 90.00°, 90.00° and 120.00°. Symmetry generates all atoms from U at (0.0000, 0.4225, 0.0000), Sn at (0.0000, 0.7508, 0.5000), Ru at (0.0000, 0.0000, 0.0000) and Ru at (0.3333, 0.6667, 0.5000).

The formation energy is -1.23 eV/f.u. The value obtained for the total DFT energy (no corrections) is -43.780 eV/atom.

# 2
Density functional theory data (meta-GGA r2SCAN) for an optimized crystal structure of U2SnRu2.

The structure belongs to space group P4/mbm (No. 127); the cell edges are 7.535, 7.535 and 3.463 Å and the angles 90.00°, 90.00° and 90.00°. Symmetry generates all atoms from U at (0.168, 0.332, 0.000), Sn at (0.000, 0.000, 0.500) and Ru at (0.137, 0.637, 0.500).

The formation energy is -1.55 eV/f.u. The value obtained for the total DFT energy (no corrections) is -47.406 eV/atom.

# 3
Density functional theory data (meta-GGA r2SCAN) for an optimized crystal structure of Ta3Ru2.

The structure belongs to space group P4/mmm (No. 123); the cell edges are 3.202, 3.202 and 15.827 Å and the angles 90.00°, 90.00° and 90.00°. Symmetry generates all atoms from Ta at (0.000, 0.000, 0.000), Ta at (0.000, 0.000, 0.195), Ta at (0.000, 0.000, 0.395), Ta at (0.500, 0.500, 0.500), Ru at (0.500, 0.500, 0.098) and Ru at (0.500, 0.500, 0.291).

The formation energy is -1.55 eV/f.u. The value obtained for the total DFT energy (no corrections) is -39.635 eV/atom.

# 4
Density functional theory data (meta-GGA r2SCAN) for an optimized crystal structure of TaTiRu2.

The structure belongs to space group Fm-3m (No. 225); the cell edges are 6.234, 6.234 and 6.234 Å and the angles 90.00°, 90.00° and 90.00°. Symmetry generates all atoms from Ta at (0.000, 0.000, 0.000), Ti at (0.000, 0.000, 0.500) and Ru at (0.250, 0.250, 0.250).

The formation energy is -2.42 eV/f.u. The value obtained for the total DFT energy (no corrections) is -28.699 eV/atom.

# 5
Density functional theory data (meta-GGA r2SCAN) for an optimized crystal structure of TmTaRu2.

The structure belongs to space group Fm-3m (No. 225); the cell edges are 6.463, 6.463 and 6.463 Å and the angles 90.00°, 90.00° and 90.00°. Symmetry generates all atoms from Tm at (0.000, 0.000, 0.000), Ta at (0.000, 0.000, 0.500) and Ru at (0.250, 0.250, 0.250).

The formation energy is -2.09 eV/f.u. The value obtained for the total DFT energy (no corrections) is -34.163 eV/atom.

# 6
Density functional theory data (meta-GGA r2SCAN) for an optimized crystal structure of Ta2VRu.

The structure belongs to space group Fm-3m (No. 225); the cell edges are 6.301, 6.301 and 6.301 Å and the angles 90.00°, 90.00° and 90.00°. Symmetry generates all atoms from Ta at (0.250, 0.250, 0.250), V at (0.000, 0.000, 0.000) and Ru at (0.000, 0.000, 0.500).

The formation energy is -1.26 eV/f.u. The value obtained for the total DFT energy (no corrections) is -34.488 eV/atom.

# 7
Density functional theory data (meta-GGA r2SCAN) for an optimized crystal structure of Ta2RuW.

The structure belongs to space group Fm-3m (No. 225); the cell edges are 6.389, 6.389 and 6.389 Å and the angles 90.00°, 90.00° and 90.00°. Symmetry generates all atoms from Ta at (0.250, 0.250, 0.250), Ru at (0.000, 0.000, 0.000) and W at (0.000, 0.000, 0.500).

The formation energy is -1.23 eV/f.u. The value obtained for the total DFT energy (no corrections) is -43.802 eV/atom.

# 8
Density functional theory data (meta-GGA r2SCAN) for an optimized crystal structure of Tb3Ru.

The structure belongs to space group Pnma (No. 62); the cell edges are 7.285, 9.195 and 6.364 Å and the angles 90.00°, 90.00° and 90.00°. Symmetry generates all atoms from Tb at (0.045, 0.250, 0.133), Tb at (0.175, 0.065, 0.671) and Ru at (0.113, 0.750, 0.466).

The formation energy is -1.35 eV/f.u. The value obtained for the total DFT energy (no corrections) is -30.112 eV/atom.

# 9
Density functional theory data (meta-GGA r2SCAN) for an optimized crystal structure of Tc3Ru.

The structure belongs to space group P6_3/mmc (No. 194); the cell edges are 5.4755, 5.4755 and 4.3303 Å and the angles 90.00°, 90.00° and 120.00°. Symmetry generates all atoms from Tc at (0.1640, 0.3280, 0.2500) and Ru at (0.3333, 0.6667, 0.7500).

The formation energy is -0.23 eV/f.u. The value obtained for the total DFT energy (no corrections) is -25.887 eV/atom.

# 10
Density functional theory data (meta-GGA r2SCAN) for an optimized crystal structure of TcRu.

The structure belongs to space group P-6m2 (No. 187); the cell edges are 2.7249, 2.7249 and 4.3129 Å and the angles 90.00°, 90.00° and 120.00°. Symmetry generates all atoms from Tc at (0.0000, 0.0000, 0.0000) and Ru at (0.3333, 0.6667, 0.5000).

The formation energy is -0.14 eV/f.u. The value obtained for the total DFT energy (no corrections) is -25.766 eV/atom.

# 11
Density functional theory data (meta-GGA r2SCAN) for an optimized crystal structure of TcRu3.

The structure belongs to space group P6_3/mmc (No. 194); the cell edges are 5.4394, 5.4394 and 4.2770 Å and the angles 90.00°, 90.00° and 120.00°. Symmetry generates all atoms from Tc at (0.3333, 0.6667, 0.2500) and Ru at (0.1675, 0.3350, 0.7500).

The formation energy is -0.29 eV/f.u. The value obtained for the total DFT energy (no corrections) is -25.631 eV/atom.

# 12
Density functional theory data (meta-GGA r2SCAN) for an optimized crystal structure of V2TcRu.

The structure belongs to space group Fm-3m (No. 225); the cell edges are 6.000, 6.000 and 6.000 Å and the angles 90.00°, 90.00° and 90.00°. Symmetry generates all atoms from V at (0.250, 0.250, 0.250), Tc at (0.000, 0.000, 0.000) and Ru at (0.000, 0.000, 0.500).

The formation energy is -1.51 eV/f.u. The value obtained for the total DFT energy (no corrections) is -20.269 eV/atom.